Record 1
The following is a r2SCAN calculation of GdRh3 after structural relaxation, from the Materials Project.

energy relative to the elements: -0.564 eV per atom
raw total energy: -708.37 eV for the cell shown

Cell lengths 5.244, 5.244, 17.436 Å; angles 90.00, 90.00, 120.00 degrees
Fractional positions:
Rh: 0.000 0.000 0.250
Rh: 0.167 0.833 0.127
Rh: 0.167 0.334 0.127
Rh: 0.833 0.167 0.873
Rh: 0.666 0.833 0.127
Rh: 0.334 0.167 0.627
Rh: 0.167 0.334 0.373
Rh: 0.167 0.833 0.373
Rh: 0.666 0.833 0.373
Gd: 0.667 0.333 0.250
Gd: 0.333 0.667 0.542
Rh: 0.333 0.667 0.250
Rh: 0.833 0.666 0.627
Rh: 0.334 0.167 0.873
Gd: 0.333 0.667 0.958
Rh: 0.000 0.000 0.750
Gd: 0.333 0.667 0.750
Gd: 0.667 0.333 0.458
Rh: 0.000 0.000 0.000
Rh: 0.667 0.333 0.750
Rh: 0.833 0.167 0.627
Gd: 0.667 0.333 0.042
Rh: 0.833 0.666 0.873
Rh: 0.000 0.000 0.500



Record 2
The following is a r2SCAN calculation of Gd2RuRh after structural relaxation, from the Materials Project.

energy relative to the elements: -0.520 eV per atom
raw total energy: -138.43 eV for the cell shown

Cell lengths 4.854, 4.854, 4.854 Å; angles 60.00, 60.00, 60.00 degrees
Fractional positions:
Rh: 0.500 0.500 0.500
Gd: 0.750 0.750 0.750
Ru: 0.000 0.000 0.000
Gd: 0.250 0.250 0.250



Record 3
The following is a r2SCAN calculation of GdSi2Rh3 after structural relaxation, from the Materials Project.

energy relative to the elements: -1.066 eV per atom
raw total energy: -139.75 eV for the cell shown

Cell lengths 5.513, 5.513, 3.649 Å; angles 90.00, 90.00, 120.00 degrees
Fractional positions:
Si: 0.333 0.667 0.000
Rh: 0.500 0.500 0.500
Gd: 0.000 0.000 0.000
Rh: 0.500 0.000 0.500
Rh: 0.000 0.500 0.500
Si: 0.667 0.333 0.000